(1)
A plane-wave DFT calculation with PBE-GGA was carried out for an optimized crystal structure of NaBe4SbO7.

a = 5.7521 Å, b = 5.7521 Å, c = 9.3455 Å
α = 90.00°, β = 90.00°, γ = 120.00°
Space group P6_3mc (No. 186)
Symmetry-distinct sites (fractional):
Na1 0.3333 0.6667 0.0000 (multiplicity 2)
Be1 0.0000 0.0000 0.0612 (multiplicity 2)
Be2 0.1594 0.3187 0.3081 (multiplicity 6)
Sb1 0.3333 0.6667 0.5253 (multiplicity 2)
O1 0.0000 0.0000 0.3833 (multiplicity 2)
O2 0.0419 0.5209 0.3724 (multiplicity 6)
O3 0.1439 0.2878 0.1388 (multiplicity 6)

Properties
Energy relative to the lowest polymorph listed for this composition (meV/atom): 471
Size of the total moment (μB per atom): 0.153

***

(2)
A plane-wave DFT calculation with PBE-GGA was carried out for an optimized crystal structure of NaBe4SbO7.

a = 5.4877 Å, b = 5.4877 Å, c = 8.9444 Å
α = 90.00°, β = 90.00°, γ = 120.00°
Space group P6_3mc (No. 186)
Symmetry-distinct sites (fractional):
Na1 0.3333 0.6667 0.0000 (multiplicity 2)
Be1 0.0000 0.0000 0.4356 (multiplicity 2)
Be2 0.1656 0.3312 0.6882 (multiplicity 6)
Sb1 0.3333 0.6667 0.3752 (multiplicity 2)
O1 0.0000 0.0000 0.2501 (multiplicity 2)
O2 0.0102 0.5051 0.7458 (multiplicity 6)
O3 0.1607 0.3215 0.5038 (multiplicity 6)

Properties
Energy relative to the lowest polymorph listed for this composition (meV/atom): 0
Size of the total moment (μB per atom): 0.000
Maximum piezoelectric response (C/m²): 0.10

***

(3)
A plane-wave DFT calculation with PBE-GGA was carried out for an optimized crystal structure of NaBeSi3O8.

a = 12.830 Å, b = 13.802 Å, c = 7.401 Å
α = 90.00°, β = 90.00°, γ = 90.00°
Space group Pnma (No. 62)
Symmetry-distinct sites (fractional):
Na1 0.102 0.069 0.001 (multiplicity 8)
Be1 0.005 0.000 0.342 (multiplicity 8)
Si1 0.156 0.637 0.732 (multiplicity 8)
Si2 0.159 0.138 0.516 (multiplicity 8)
Si3 0.167 0.638 0.304 (multiplicity 8)
O1 0.058 0.250 0.989 (multiplicity 4)
O2 0.060 0.066 0.507 (multiplicity 8)
O3 0.065 0.563 0.791 (multiplicity 8)
O4 0.084 0.562 0.225 (multiplicity 8)
O5 0.120 0.250 0.500 (multiplicity 4)
O6 0.121 0.750 0.767 (multiplicity 4)
O7 0.129 0.750 0.267 (multiplicity 4)
O8 0.194 0.624 0.521 (multiplicity 8)
O9 0.217 0.123 0.712 (multiplicity 8)
O10 0.238 0.114 0.348 (multiplicity 8)

Properties
Energy relative to the lowest polymorph listed for this composition (meV/atom): 1
Size of the total moment (μB per atom): 0.073

***

(4)
A plane-wave DFT calculation with PBE-GGA was carried out for an optimized crystal structure of Na2BeSiO4.

a = 7.084 Å, b = 5.014 Å, c = 10.033 Å
α = 90.00°, β = 90.09°, γ = 90.00°
Space group P2_1/c (No. 14)
Symmetry-distinct sites (fractional):
Na1 0.002 0.208 0.390 (multiplicity 4)
Na2 0.265 0.682 0.359 (multiplicity 4)
Be1 0.499 0.658 0.088 (multiplicity 4)
Si1 0.279 0.156 0.157 (multiplicity 4)
O1 0.061 0.235 0.125 (multiplicity 4)
O2 0.316 0.661 0.619 (multiplicity 4)
O3 0.319 0.206 0.318 (multiplicity 4)
O4 0.437 0.165 0.574 (multiplicity 4)

Properties
Energy relative to the lowest polymorph listed for this composition (meV/atom): 0

***

(5)
A plane-wave DFT calculation with PBE-GGA was carried out for an optimized crystal structure of Na2BeSiO4.

a = 9.966 Å, b = 4.963 Å, c = 14.004 Å
α = 90.00°, β = 90.00°, γ = 90.00°
Space group Pca2_1 (No. 29)
Symmetry-distinct sites (fractional):
Na1 0.003 0.022 0.117 (multiplicity 4)
Na2 0.011 0.508 0.500 (multiplicity 4)
Na3 0.228 0.528 0.875 (multiplicity 4)
Na4 0.233 0.032 0.743 (multiplicity 4)
Be1 0.014 0.026 0.369 (multiplicity 4)
Be2 0.232 0.507 0.625 (multiplicity 4)
Si1 0.017 0.526 0.249 (multiplicity 4)
Si2 0.234 0.009 0.994 (multiplicity 4)
O1 0.011 0.797 0.770 (multiplicity 4)
O2 0.013 0.298 0.846 (multiplicity 4)
O3 0.086 0.380 0.662 (multiplicity 4)
O4 0.093 0.880 0.954 (multiplicity 4)
O5 0.169 0.097 0.405 (multiplicity 4)
O6 0.174 0.585 0.217 (multiplicity 4)
O7 0.192 0.776 0.559 (multiplicity 4)
O8 0.193 0.273 0.060 (multiplicity 4)

Properties
Energy relative to the lowest polymorph listed for this composition (meV/atom): 12
Size of the total moment (μB per atom): 0.000

***

(6)
A plane-wave DFT calculation with PBE-GGA was carried out for an optimized crystal structure of Na2BeSiO4.

a = 9.973 Å, b = 4.988 Å, c = 14.215 Å
α = 90.00°, β = 90.00°, γ = 90.00°
Space group Pca2_1 (No. 29)
Symmetry-distinct sites (fractional):
Na1 0.007 0.009 0.000 (multiplicity 4)
Na2 0.008 0.510 0.615 (multiplicity 4)
Na3 0.220 0.021 0.328 (multiplicity 4)
Na4 0.235 0.528 0.206 (multiplicity 4)
Be1 0.016 0.044 0.725 (multiplicity 4)
Be2 0.234 0.010 0.116 (multiplicity 4)
Si1 0.012 0.524 0.850 (multiplicity 4)
Si2 0.237 0.509 0.482 (multiplicity 4)
O1 0.009 0.795 0.337 (multiplicity 4)
O2 0.012 0.293 0.258 (multiplicity 4)
O3 0.097 0.371 0.434 (multiplicity 4)
O4 0.100 0.877 0.153 (multiplicity 4)
O5 0.163 0.116 0.692 (multiplicity 4)
O6 0.167 0.605 0.891 (multiplicity 4)
O7 0.187 0.277 0.041 (multiplicity 4)
O8 0.188 0.765 0.543 (multiplicity 4)

Properties
Energy relative to the lowest polymorph listed for this composition (meV/atom): 106
Size of the total moment (μB per atom): 0.000
Maximum piezoelectric response (C/m²): 0.62

***

(7)
A plane-wave DFT calculation with PBE-GGA was carried out for an optimized crystal structure of NaBeSi3O8.

a = 12.724 Å, b = 7.428 Å, c = 14.208 Å
α = 90.00°, β = 103.83°, γ = 90.00°
Space group C2/c (No. 15)
Symmetry-distinct sites (fractional):
Na1 0.028 0.158 0.430 (multiplicity 8)
Be1 0.169 0.177 0.997 (multiplicity 8)
Si1 0.030 0.405 0.861 (multiplicity 8)
Si2 0.205 0.480 0.142 (multiplicity 8)
Si3 0.248 0.102 0.634 (multiplicity 8)
O1 0.000 0.069 0.250 (multiplicity 4)
O2 0.000 0.326 0.750 (multiplicity 4)
O3 0.053 0.244 0.938 (multiplicity 8)
O4 0.073 0.466 0.126 (multiplicity 8)
O5 0.128 0.445 0.375 (multiplicity 8)
O6 0.155 0.000 0.055 (multiplicity 8)
O7 0.237 0.061 0.745 (multiplicity 8)
O8 0.240 0.320 0.615 (multiplicity 8)
O9 0.240 0.335 0.070 (multiplicity 8)

Properties
Energy relative to the lowest polymorph listed for this composition (meV/atom): 0
Size of the total moment (μB per atom): 0.072

***

no.,ΔH_f (0 K) (eV/atom)
1,-2.240
2,-2.711
3,-2.923
4,-2.812
5,-2.800
6,-2.706
7,-2.924